w | An optimized crystal structure of Mn3P2O8. Source: the Materials Project database, functional GGA+U. Values from VASP.

Geometry as Quantum ESPRESSO input:
```
&SYSTEM
  ibrav = 0, nat = 26, ntyp = 3
/
ATOMIC_SPECIES
Mn 54.94 Mn.upf
O 16.00 O.upf
P 30.97 P.upf
CELL_PARAMETERS angstrom
-1.007 5.087 0.854
-7.929 -2.093 3.120
2.947 -0.238 7.328
ATOMIC_POSITIONS crystal
Mn 0.000 0.000 0.000
Mn 0.410 0.143 0.617
Mn 0.090 0.643 0.883
Mn 0.590 0.857 0.383
Mn 0.500 0.500 0.500
Mn 0.910 0.357 0.117
O 0.700 0.307 0.627
O 0.047 0.145 0.762
O 0.547 0.355 0.262
O 0.800 0.807 0.873
O 0.039 0.580 0.145
O 0.200 0.193 0.127
O 0.453 0.645 0.738
O 0.461 0.080 0.355
O 0.953 0.855 0.238
O 0.176 0.355 0.567
O 0.961 0.420 0.855
O 0.824 0.645 0.433
O 0.324 0.855 0.933
O 0.300 0.693 0.373
O 0.539 0.920 0.645
O 0.676 0.145 0.067
P 0.967 0.307 0.702
P 0.467 0.193 0.202
P 0.033 0.693 0.298
P 0.533 0.807 0.798
```



x | An optimized crystal structure of Mn3P2O8. Source: the Materials Project database, functional GGA+U. Values from VASP.

Geometry as Quantum ESPRESSO input:
```
&SYSTEM
  ibrav = 0, nat = 26, ntyp = 3
/
ATOMIC_SPECIES
O 16.00 O.upf
Mn 54.94 Mn.upf
P 30.97 P.upf
CELL_PARAMETERS angstrom
6.777 0.000 0.000
0.000 5.316 0.000
0.000 4.510 9.061
ATOMIC_POSITIONS crystal
O 0.209 0.631 0.355
O 0.373 0.141 0.683
O 0.486 0.264 0.363
O 0.291 0.631 0.855
O 0.627 0.859 0.317
O 0.127 0.141 0.183
O 0.986 0.736 0.137
O 0.657 0.130 0.911
O 0.343 0.870 0.089
O 0.014 0.264 0.863
O 0.843 0.130 0.411
O 0.873 0.859 0.817
O 0.514 0.736 0.637
O 0.709 0.369 0.145
O 0.157 0.870 0.589
O 0.791 0.369 0.645
Mn 0.500 0.500 0.500
Mn 0.844 0.785 0.628
Mn 0.000 0.500 0.000
Mn 0.656 0.785 0.128
Mn 0.156 0.215 0.372
Mn 0.344 0.215 0.872
P 0.667 0.156 0.307
P 0.333 0.844 0.693
P 0.167 0.844 0.193
P 0.833 0.156 0.807
```



Going by the energies, w is most stable and the next is 0.5 kJ/mol of atoms up.



w | An optimized crystal structure of Mn3P4O14. Source: the Materials Project database, functional GGA+U. Values from VASP.

Geometry as Quantum ESPRESSO input:
```
&SYSTEM
  ibrav = 0, nat = 42, ntyp = 3
/
ATOMIC_SPECIES
P 30.97 P.upf
Mn 54.94 Mn.upf
O 16.00 O.upf
CELL_PARAMETERS angstrom
-4.295 6.708 -0.307
-5.614 -0.048 6.189
7.556 6.099 2.765
ATOMIC_POSITIONS crystal
P 0.490 0.073 0.202
P 0.009 0.927 0.298
P 0.610 0.308 0.701
P 0.990 0.075 0.703
P 0.391 0.693 0.299
P 0.109 0.307 0.201
P 0.890 0.692 0.799
P 0.510 0.926 0.797
Mn 0.500 0.000 0.500
Mn 0.439 0.338 0.026
Mn 0.941 0.337 0.526
Mn 0.999 0.000 0.000
Mn 0.060 0.663 0.474
Mn 0.560 0.663 0.975
O 0.474 0.230 0.638
O 0.010 0.885 0.138
O 0.930 0.814 0.358
O 0.029 0.421 0.365
O 0.777 0.130 0.693
O 0.079 0.873 0.617
O 0.675 0.417 0.629
O 0.723 0.870 0.807
O 0.578 0.871 0.117
O 0.971 0.576 0.635
O 0.223 0.871 0.308
O 0.490 0.115 0.362
O 0.510 0.883 0.638
O 0.067 0.190 0.643
O 0.529 0.424 0.865
O 0.421 0.127 0.883
O 0.973 0.230 0.138
O 0.327 0.582 0.370
O 0.173 0.418 0.130
O 0.990 0.117 0.862
O 0.433 0.811 0.857
O 0.026 0.770 0.862
O 0.277 0.129 0.192
O 0.527 0.771 0.362
O 0.569 0.187 0.142
O 0.471 0.579 0.135
O 0.825 0.583 0.871
O 0.922 0.129 0.383
```



x | An optimized crystal structure of Mn3P4O14. Source: the Materials Project database, functional GGA+U. Values from VASP.

Geometry as Quantum ESPRESSO input:
```
&SYSTEM
  ibrav = 0, nat = 42, ntyp = 3
/
ATOMIC_SPECIES
O 16.00 O.upf
P 30.97 P.upf
Mn 54.94 Mn.upf
CELL_PARAMETERS angstrom
-1.830 -0.354 5.746
5.617 -11.951 -1.847
6.083 1.925 4.343
ATOMIC_POSITIONS crystal
O 0.815 0.575 0.891
O 0.903 0.805 0.564
O 0.196 0.656 0.417
O 0.027 0.234 0.128
O 0.498 0.851 0.879
O 0.176 0.426 0.121
O 0.696 0.155 0.417
O 0.676 0.926 0.121
O 0.761 0.137 0.833
O 0.620 0.688 0.419
O 0.120 0.188 0.419
O 0.233 0.851 0.201
O 0.825 0.356 0.575
O 0.733 0.351 0.201
O 0.505 0.444 0.764
O 0.998 0.351 0.879
O 0.491 0.265 0.859
O 0.315 0.075 0.891
O 0.325 0.856 0.575
O 0.982 0.052 0.226
O 0.991 0.765 0.859
O 0.261 0.637 0.833
O 0.482 0.552 0.226
O 0.977 0.658 0.135
O 0.527 0.734 0.128
O 0.006 0.944 0.764
O 0.477 0.158 0.135
O 0.403 0.305 0.564
P 0.016 0.653 0.930
P 0.480 0.846 0.077
P 0.516 0.153 0.930
P 0.980 0.346 0.077
P 0.572 0.348 0.682
P 0.944 0.153 0.305
P 0.072 0.848 0.682
P 0.445 0.653 0.305
Mn 0.488 0.503 0.993
Mn 0.015 0.264 0.665
Mn 0.988 0.003 0.993
Mn 0.976 0.735 0.337
Mn 0.475 0.235 0.337
Mn 0.516 0.764 0.665
```



y | An optimized crystal structure of Mn3P4O14. Source: the Materials Project database, functional GGA+U. Values from VASP.

Geometry as Quantum ESPRESSO input:
```
&SYSTEM
  ibrav = 0, nat = 42, ntyp = 3
/
ATOMIC_SPECIES
O 16.00 O.upf
P 30.97 P.upf
Mn 54.94 Mn.upf
CELL_PARAMETERS angstrom
8.216 0.000 0.000
0.000 7.213 0.000
0.000 3.267 8.956
ATOMIC_POSITIONS crystal
O 0.609 0.284 0.861
O 0.281 0.992 0.870
O 0.589 0.981 0.384
O 0.493 0.380 0.318
O 0.354 0.624 0.418
O 0.123 0.139 0.624
O 0.219 0.992 0.370
O 0.089 0.019 0.116
O 0.140 0.315 0.193
O 0.640 0.685 0.307
O 0.360 0.315 0.693
O 0.719 0.008 0.130
O 0.391 0.716 0.139
O 0.911 0.981 0.884
O 0.781 0.008 0.630
O 0.877 0.861 0.376
O 0.109 0.716 0.639
O 0.860 0.685 0.807
O 0.411 0.019 0.616
O 0.891 0.284 0.361
O 0.854 0.376 0.082
O 0.146 0.624 0.918
O 0.507 0.620 0.682
O 0.007 0.380 0.818
O 0.623 0.861 0.876
O 0.993 0.620 0.182
O 0.646 0.376 0.582
O 0.377 0.139 0.124
P 0.286 0.107 0.699
P 0.540 0.402 0.706
P 0.040 0.598 0.794
P 0.460 0.598 0.294
P 0.960 0.402 0.206
P 0.214 0.107 0.199
P 0.786 0.893 0.801
P 0.714 0.893 0.301
Mn 0.869 0.194 0.975
Mn 0.631 0.194 0.475
Mn 0.131 0.806 0.025
Mn 0.369 0.806 0.525
Mn 0.000 0.000 0.500
Mn 0.500 0.000 0.000
```



z | An optimized crystal structure of Mn3P4O14. Source: the Materials Project database, functional GGA+U. Values from VASP.

Geometry as Quantum ESPRESSO input:
```
&SYSTEM
  ibrav = 0, nat = 42, ntyp = 3
/
ATOMIC_SPECIES
O 16.00 O.upf
Mn 54.94 Mn.upf
P 30.97 P.upf
CELL_PARAMETERS angstrom
5.258 -0.001 0.903
1.806 6.161 0.987
-0.012 -0.017 16.284
ATOMIC_POSITIONS crystal
O 0.250 0.327 0.090
O 0.138 0.611 0.541
O 0.097 0.979 0.584
O 0.794 0.340 0.665
O 0.761 0.699 0.713
O 0.354 0.546 0.739
O 0.298 0.615 0.908
O 0.750 0.673 0.910
O 0.648 0.141 0.994
O 0.646 0.454 0.261
O 0.669 0.864 0.296
O 0.578 0.157 0.544
O 0.352 0.859 0.006
O 0.862 0.389 0.459
O 0.422 0.843 0.456
O 0.239 0.301 0.287
O 0.331 0.136 0.704
O 0.605 0.029 0.153
O 0.470 0.317 0.406
O 0.010 0.311 0.827
O 0.991 0.953 0.785
O 0.903 0.021 0.416
O 0.395 0.971 0.847
O 0.009 0.047 0.215
O 0.530 0.683 0.594
O 0.702 0.385 0.092
O 0.206 0.660 0.335
O 0.990 0.689 0.173
Mn 0.050 0.608 0.827
Mn 0.745 0.025 0.679
Mn 0.950 0.392 0.173
Mn 0.828 0.713 0.414
Mn 0.172 0.287 0.586
Mn 0.255 0.975 0.321
P 0.282 0.781 0.542
P 0.718 0.219 0.458
P 0.606 0.565 0.685
P 0.833 0.900 0.209
P 0.394 0.435 0.315
P 0.553 0.229 0.078
P 0.447 0.771 0.922
P 0.167 0.100 0.791
```



Going by the energies, y is most stable and the next is 2.3 kJ/mol of atoms up.